Entry 1:
DFT (PBE-GGA) results for a relaxed structure of Ca2Mg.

abc: 6.6351 6.6351 9.4465
angles: 111.05 111.05 33.08
Fractional coordinates of all 6 atoms:
Ca 0.0193 0.0193 0.2107
Ca 0.3353 0.3353 0.3910
Ca 0.6647 0.6647 0.6090
Ca 0.9807 0.9807 0.7893
Mg 0.3147 0.3147 0.9330
Mg 0.6853 0.6853 0.0670

Results
Energy of formation: -0.028 eV per atom
Density: 1.65 g cm⁻³
SG: No. 12

=====

Entry 2:
DFT (PBE-GGA) results for a relaxed structure of Tb2PdRu.

abc: 4.9042 4.9042 4.9042
angles: 60.00 60.00 60.00
Fractional coordinates of all 4 atoms:
Tb 0.2500 0.2500 0.2500
Tb 0.7500 0.7500 0.7500
Pd 0.0000 0.0000 0.0000
Ru 0.5000 0.5000 0.5000

Results
Energy of formation: -0.623 eV per atom
Density: 10.46 g cm⁻³
SG: No. 225

=====

Entry 3:
DFT (PBE-GGA) results for a relaxed structure of USO.

abc: 3.7915 3.7915 6.7479
angles: 90.00 90.00 90.00
Fractional coordinates of all 6 atoms:
U 0.2500 0.2500 0.2005
U 0.7500 0.7500 0.7995
S 0.2500 0.2500 0.6340
S 0.7500 0.7500 0.3660
O 0.2500 0.7500 0.0000
O 0.7500 0.2500 0.0000

Results
Energy of formation: -2.781 eV per atom
Density: 9.79 g cm⁻³
SG: No. 129

=====

Number 1: raw total energy -11.4 eV/cell. Number 2: raw total energy -26.2 eV/cell. Number 3: raw total energy -55.1 eV/cell.